VASP calculation (PBE-GGA) on a geometry-optimized CdP2 structure.

The piezoelectric modulus e_max is 0.1 C/m². For the formation energy, the calculation gives -0.4 eV/f.u.

The structure belongs to space group P4_32_12 (No. 96); the cell edges are 5.364, 5.364 and 20.013 Å and the angles 90.00°, 90.00° and 90.00°. Symmetry generates all atoms from Cd at (0.126, 0.347, 0.202), P at (0.020, 0.024, 0.626) and P at (0.192, 0.714, 0.435).